(1)
Entry from the Materials Project database: a relaxed structure of Sr4LiMn2Ga2O11 (PBE+U).

Geometry as CIF:
```
data_Sr4LiMn2Ga2O11
_cell_length_a 5.5828
_cell_length_b 5.5828
_cell_length_c 8.8605
_cell_angle_alpha 108.37
_cell_angle_beta 108.37
_cell_angle_gamma 88.30
_space_group_name_H-M_alt 'P 1'
_space_group_IT_number 1
_space_group_name_Hall 'P 1'
loop_
_atom_site_label
_atom_site_type_symbol
_atom_site_fract_x
_atom_site_fract_y
_atom_site_fract_z
_atom_site_occupancy
Sr1 Sr 0.1146 0.1146 0.2368 1
Sr2 Sr 0.3424 0.3424 0.7023 1
Sr3 Sr 0.6576 0.6576 0.2977 1
Sr4 Sr 0.8854 0.8854 0.7632 1
Li1 Li 0.5000 0.5000 0.0000 1
Mn1 Mn 0.0000 0.5000 0.0000 1
Mn2 Mn 0.5000 0.0000 0.0000 1
Ga1 Ga 0.2385 0.7615 0.5000 1
Ga2 Ga 0.7615 0.2385 0.5000 1
O1 O 0.0000 0.0000 0.5000 1
O2 O 0.0000 0.5000 0.5000 1
O3 O 0.1800 0.5839 0.2610 1
O4 O 0.2406 0.2406 0.9509 1
O5 O 0.2483 0.7517 0.0000 1
O6 O 0.4161 0.8200 0.7390 1
O7 O 0.5000 0.0000 0.5000 1
O8 O 0.5839 0.1800 0.2610 1
O9 O 0.7517 0.2483 0.0000 1
O10 O 0.7594 0.7594 0.0491 1
O11 O 0.8200 0.4161 0.7390 1
```

Results
Energy of formation = -4731 kJ/mol of formula units
SG = No. 12

(2)
Entry from the Materials Project database: a relaxed structure of Li4Cr3Fe3Sb2O16 (PBE+U).

Geometry as CIF:
```
data_Li4Cr3Fe3Sb2O16
_cell_length_a 5.9554
_cell_length_b 5.9554
_cell_length_c 9.6524
_cell_angle_alpha 90.18
_cell_angle_beta 90.18
_cell_angle_gamma 60.15
_space_group_name_H-M_alt 'P 1'
_space_group_IT_number 1
_space_group_name_Hall 'P 1'
loop_
_atom_site_label
_atom_site_type_symbol
_atom_site_fract_x
_atom_site_fract_y
_atom_site_fract_z
_atom_site_occupancy
Li1 Li 0.0000 0.0000 0.0000 1
Li2 Li 0.0012 0.0012 0.4979 1
Li3 Li 0.3360 0.3360 0.4089 1
Li4 Li 0.6683 0.6683 0.9130 1
Cr1 Cr 0.1729 0.1729 0.7222 1
Cr2 Cr 0.3410 0.8318 0.2222 1
Cr3 Cr 0.8318 0.3410 0.2222 1
Fe1 Fe 0.1731 0.6623 0.7230 1
Fe2 Fe 0.6623 0.1731 0.7230 1
Fe3 Fe 0.8300 0.8300 0.2221 1
Sb1 Sb 0.3335 0.3335 0.9996 1
Sb2 Sb 0.6701 0.6701 0.4931 1
O1 O 0.0020 0.0020 0.8129 1
O2 O 0.0379 0.4797 0.8547 1
O3 O 0.1630 0.6713 0.1050 1
O4 O 0.1656 0.1656 0.1056 1
O5 O 0.3361 0.8373 0.6023 1
O6 O 0.3372 0.3372 0.6151 1
O7 O 0.4797 0.0379 0.8547 1
O8 O 0.4830 0.4830 0.8594 1
O9 O 0.5205 0.5205 0.3506 1
O10 O 0.5222 0.9666 0.3496 1
O11 O 0.6713 0.1630 0.1050 1
O12 O 0.6715 0.6715 0.1192 1
O13 O 0.8355 0.8355 0.6032 1
O14 O 0.8373 0.3361 0.6023 1
O15 O 0.9666 0.5222 0.3496 1
O16 O 0.9966 0.9966 0.3121 1
```

Results
Energy of formation = -5718 kJ/mol of formula units
SG = No. 8

(3)
Entry from the Materials Project database: a relaxed structure of CoRe2O8 (PBE+U).

Geometry as CIF:
```
data_CoRe2O8
_cell_length_a 5.8056
_cell_length_b 6.7327
_cell_length_c 10.0323
_cell_angle_alpha 89.91
_cell_angle_beta 89.73
_cell_angle_gamma 89.96
_space_group_name_H-M_alt 'P 1'
_space_group_IT_number 1
_space_group_name_Hall 'P 1'
loop_
_atom_site_label
_atom_site_type_symbol
_atom_site_fract_x
_atom_site_fract_y
_atom_site_fract_z
_atom_site_occupancy
Co1 Co 0.0000 0.0000 0.0000 1
Co2 Co 0.5000 0.0000 0.5000 1
Re1 Re 0.0002 0.2652 0.3329 1
Re2 Re 0.9998 0.7348 0.6671 1
Re3 Re 0.4991 0.7352 0.1662 1
Re4 Re 0.5009 0.2648 0.8338 1
O1 O 0.9995 0.4773 0.6670 1
O2 O 0.0005 0.5227 0.3330 1
O3 O 0.0058 0.1787 0.1676 1
O4 O 0.2449 0.1778 0.4174 1
O5 O 0.2504 0.1781 0.9137 1
O6 O 0.2499 0.8216 0.5866 1
O7 O 0.2557 0.8215 0.0803 1
O8 O 0.4920 0.8226 0.3312 1
O9 O 0.4997 0.4775 0.1670 1
O10 O 0.5003 0.5225 0.8330 1
O11 O 0.5080 0.1774 0.6688 1
O12 O 0.7443 0.1785 0.9197 1
O13 O 0.7501 0.1784 0.4134 1
O14 O 0.7496 0.8219 0.0863 1
O15 O 0.7551 0.8222 0.5826 1
O16 O 0.9942 0.8213 0.8324 1
```

Results
Energy of formation = -2163 kJ/mol of formula units
SG = No. 2

Calculated density
In order: 5.2 4.8 4.7
Unit: g cm⁻³
DFT total energy
In order: -125.61 -184.94 -173.74
Unit: eV per cell